# 1
A relaxed structure of Fe3Sn, computed with GGA-PBE.

Calculated values
The energy of formation from the pure elements is 8.2 kJ/mol of atoms.

a = 3.819 Å, b = 3.819 Å, c = 3.819 Å
α = 90.00°, β = 90.00°, γ = 90.00°
Positions (direct):
Fe: 0.000 0.000 0.500
Fe: 0.000 0.500 0.000
Fe: 0.500 0.000 0.000
Sn: 0.500 0.500 0.500

=====

# 2
A relaxed structure of Fe3Sn, computed with GGA-PBE.

Calculated values
The energy of formation from the pure elements is 3.3 kJ/mol of atoms.

a = 5.487 Å, b = 5.487 Å, c = 4.310 Å
α = 90.00°, β = 90.00°, γ = 120.00°
Positions (direct):
Fe: 0.151 0.302 0.250
Fe: 0.151 0.849 0.250
Fe: 0.302 0.151 0.750
Fe: 0.698 0.849 0.250
Fe: 0.849 0.151 0.750
Fe: 0.849 0.698 0.750
Sn: 0.333 0.667 0.750
Sn: 0.667 0.333 0.250

=====

# 3
A relaxed structure of FeSn3, computed with GGA-PBE.

Calculated values
The energy of formation from the pure elements is 45.9 kJ/mol of atoms.

a = 6.642 Å, b = 6.642 Å, c = 4.563 Å
α = 90.00°, β = 90.00°, γ = 120.00°
Positions (direct):
Fe: 0.333 0.667 0.250
Fe: 0.667 0.333 0.750
Sn: 0.182 0.364 0.750
Sn: 0.182 0.818 0.750
Sn: 0.364 0.182 0.250
Sn: 0.636 0.818 0.750
Sn: 0.818 0.182 0.250
Sn: 0.818 0.636 0.250

=====

# 4
A relaxed structure of FeSn, computed with GGA-PBE.

Calculated values
The energy of formation from the pure elements is 17.8 kJ/mol of atoms.

a = 4.086 Å, b = 4.086 Å, c = 5.113 Å
α = 90.00°, β = 90.00°, γ = 120.00°
Positions (direct):
Fe: 0.000 0.000 0.000
Fe: 0.000 0.000 0.500
Sn: 0.333 0.667 0.250
Sn: 0.667 0.333 0.750

=====

# 5
A relaxed structure of FeSn, computed with GGA-PBE.

Calculated values
The energy of formation from the pure elements is -0.3 kJ/mol of atoms.

a = 5.305 Å, b = 5.305 Å, c = 4.464 Å
α = 90.00°, β = 90.00°, γ = 120.00°
Positions (direct):
Fe: 0.000 0.500 0.000
Fe: 0.500 0.000 0.000
Fe: 0.500 0.500 0.000
Sn: 0.000 0.000 0.000
Sn: 0.333 0.667 0.500
Sn: 0.667 0.333 0.500

=====

# 6
A relaxed structure of Fe3Sn, computed with GGA-PBE.

Calculated values
The energy of formation from the pure elements is 12.4 kJ/mol of atoms.

a = 3.187 Å, b = 3.187 Å, c = 5.636 Å
α = 90.00°, β = 90.00°, γ = 90.00°
Positions (direct):
Fe: 0.000 0.000 0.000
Fe: 0.500 0.500 0.214
Fe: 0.500 0.500 0.786
Sn: 0.000 0.000 0.500